Record 1
## MnH16C4Br4N2 (PBE)

Data for an optimized crystal structure of MnH16C4Br4N2. Values from VASP.

Summary:
Calculated total energy   -4.946 eV/atom
Energy relative to the elements   -0.40 eV per atom
Symmetry   P2_1/c

```
&SYSTEM
  ibrav = 0, nat = 108, ntyp = 5
/
ATOMIC_SPECIES
Mn 54.94 Mn.upf
H 1.01 H.upf
C 12.01 C.upf
Br 79.90 Br.upf
N 14.01 N.upf
CELL_PARAMETERS angstrom
8.304 0.000 0.000
0.000 11.951 0.000
-6.853 0.000 15.398
ATOMIC_POSITIONS angstrom
Mn -1.102 2.462 6.973
Mn -4.528 3.513 14.672
Mn 5.980 8.437 0.726
Mn 2.553 9.489 8.425
H -5.496 8.310 12.948
H -2.070 9.616 5.249
H -1.385 8.144 4.490
H -4.811 9.782 12.189
H -0.442 2.100 2.392
H -3.868 3.876 10.091
H -2.117 6.230 6.823
H -5.543 11.696 14.523
H -1.891 8.560 7.401
H -5.317 9.366 15.100
H 0.803 6.487 1.858
H -2.624 11.439 9.557
H -3.132 6.112 11.791
H 0.295 11.814 4.092
H -0.510 6.311 6.034
H -3.936 11.615 13.733
H -2.448 0.787 10.794
H 0.978 5.189 3.095
H -0.381 8.639 6.641
H -3.807 9.287 14.340
H 1.025 6.918 3.586
H -2.401 11.008 11.285
H -0.652 6.580 7.802
H 2.774 11.347 0.103
H 1.606 0.545 3.055
H -1.821 5.431 10.754
H -1.766 7.152 11.270
H 1.660 10.774 3.571
H -0.419 0.401 9.542
H 3.008 5.574 1.842
H 3.077 7.166 2.330
H -0.349 10.760 10.029
H 1.801 1.191 5.369
H -1.626 4.785 13.068
H -1.556 6.377 13.556
H 1.870 11.549 5.857
H -0.208 1.176 11.827
H 3.218 4.799 4.128
H 3.272 6.520 4.644
H -0.154 11.406 12.343
H -1.322 0.604 15.295
H 2.104 5.371 7.596
H 3.853 0.943 4.113
H 0.426 5.033 11.812
H 5.259 2.664 1.058
H 1.832 3.312 8.758
H 0.473 6.762 12.303
H 3.900 11.164 4.604
H 5.388 0.336 1.665
H 1.961 5.640 9.364
H 1.157 0.137 11.307
H 4.583 5.839 3.607
H 4.075 0.511 5.841
H 0.649 5.464 13.540
H 6.769 2.585 0.298
H 3.342 3.391 7.997
H 6.995 0.255 0.876
H 3.568 5.721 8.575
H 5.320 8.075 5.307
H 1.893 9.851 13.006
H 6.263 2.169 3.209
H 2.836 3.806 10.908
H 3.521 2.335 10.149
H 6.948 3.641 2.450
C -1.988 8.526 5.321
C -5.414 9.400 13.020
C -1.138 6.722 6.831
C -4.565 11.204 14.530
C 1.280 6.199 2.800
C -2.146 11.727 10.499
C -2.063 6.138 11.556
C 1.364 11.788 3.857
C 0.088 0.163 11.542
C 3.514 5.813 3.842
C 3.598 0.224 4.899
C 0.171 5.751 12.598
C 6.016 0.747 0.868
C 2.590 5.229 8.567
C 6.865 2.551 2.378
C 3.439 3.424 10.077
Br -3.575 8.465 9.087
Br -0.149 9.461 1.388
Br -4.589 5.994 14.481
Br -1.163 11.933 6.782
Br -2.626 2.656 13.274
Br 0.800 3.319 5.574
Br 2.904 2.847 1.644
Br -0.522 3.129 9.343
Br 1.974 8.822 6.055
Br -1.453 9.104 13.754
Br 0.651 8.632 9.824
Br 4.078 9.295 2.125
Br 2.614 0.018 8.616
Br 6.041 5.957 0.917
Br 1.600 2.490 14.010
Br 5.027 3.486 6.311
N -1.320 8.185 6.610
N -4.746 9.741 14.309
N 2.760 6.212 2.620
N -0.666 11.714 10.319
N 2.118 0.237 5.079
N -1.308 5.738 12.778
N 6.198 2.210 1.089
N 2.771 3.765 8.788
```

=====

Record 2
## SbH8C2S2Br3N4O (PBE)

Data for an optimized crystal structure of SbH8C2S2Br3N4O. Values from VASP.

Summary:
Calculated total energy   -4.993 eV/atom
Energy relative to the elements   -0.25 eV per atom
Symmetry   Cmce

```
&SYSTEM
  ibrav = 0, nat = 84, ntyp = 7
/
ATOMIC_SPECIES
Sb 121.76 Sb.upf
H 1.01 H.upf
C 12.01 C.upf
S 32.06 S.upf
Br 79.90 Br.upf
N 14.01 N.upf
O 16.00 O.upf
CELL_PARAMETERS angstrom
6.280 -6.093 0.000
6.280 6.093 0.000
0.000 0.000 20.009
ATOMIC_POSITIONS angstrom
Sb 6.280 5.000 18.097
Sb 6.280 1.094 8.092
Sb 6.280 -1.094 11.916
Sb 6.280 -5.000 1.912
H 1.688 1.565 14.079
H 3.971 3.745 1.463
H 2.641 2.027 8.467
H 3.640 2.027 1.538
H 3.971 2.348 11.468
H 2.861 0.906 12.967
H 3.419 0.906 17.046
H 4.593 1.565 15.934
H 1.688 -1.565 5.929
H 2.861 -0.906 7.042
H 3.419 -0.906 2.963
H 2.641 -2.027 11.542
H 8.590 3.745 1.463
H 3.640 -2.027 18.471
H 8.590 2.348 11.468
H 4.593 -1.565 4.075
H 7.968 1.565 15.934
H 3.971 -2.348 8.541
H 8.921 2.027 1.538
H 3.971 -3.745 18.545
H 9.920 2.027 8.467
H 9.142 0.906 17.046
H 9.700 0.906 12.967
H 10.873 1.565 14.079
H 7.968 -1.565 4.075
H 9.142 -0.906 2.963
H 9.700 -0.906 7.042
H 8.590 -2.348 8.541
H 8.921 -2.027 18.471
H 9.920 -2.027 11.542
H 8.590 -3.745 18.545
H 10.873 -1.565 5.929
C 3.669 3.151 7.126
C 3.669 2.942 17.130
C 8.892 3.151 7.126
C 8.892 2.942 17.130
C 3.669 -2.942 2.878
C 3.669 -3.151 12.882
C 8.892 -2.942 2.878
C 8.892 -3.151 12.882
S 8.111 -4.315 3.622
S 4.450 4.315 16.387
S 4.450 1.778 6.383
S 8.111 4.315 16.387
S 4.450 -1.778 13.626
S 8.111 1.778 6.383
S 4.450 -4.315 3.622
S 8.111 -1.778 13.626
Br 6.280 5.078 3.830
Br 2.288 0.000 0.000
Br 6.280 3.466 9.338
Br 6.280 2.627 19.342
Br 3.992 0.000 10.004
Br 6.280 1.015 13.835
Br 6.280 -1.015 6.174
Br 8.568 0.000 10.004
Br 6.280 -2.627 0.666
Br 6.280 -3.466 10.671
Br 10.273 0.000 0.000
Br 6.280 -5.078 16.178
N 3.480 3.130 11.902
N 3.480 2.963 1.898
N 2.377 1.719 13.349
N 3.903 1.719 16.664
N 2.377 -1.719 6.660
N 3.903 -1.719 3.344
N 9.081 3.130 11.902
N 9.081 2.963 1.898
N 3.480 -2.963 18.111
N 3.480 -3.130 8.107
N 8.657 1.719 16.664
N 10.184 1.719 13.349
N 8.657 -1.719 3.344
N 10.184 -1.719 6.660
N 9.081 -2.963 18.111
N 9.081 -3.130 8.107
O 6.280 5.307 12.805
O 6.280 0.786 2.801
O 6.280 -0.786 17.208
O 6.280 -5.307 7.203
```